Below is Be2P2O7 after structural relaxation, with properties calculated at the PBE level.

POSCAR file:
```
Be2P2O7
1.0
9.810 -3.946 0.000
9.810 3.946 0.000
-1.237 0.000 8.781
Be P O
12 12 42
direct
0.074 0.506 0.271 Be
0.146 0.780 0.951 Be
0.220 0.854 0.549 Be
0.291 0.426 0.879 Be
0.426 0.291 0.379 Be
0.494 0.926 0.229 Be
0.506 0.074 0.771 Be
0.574 0.709 0.621 Be
0.709 0.574 0.121 Be
0.780 0.146 0.451 Be
0.854 0.220 0.049 Be
0.926 0.494 0.729 Be
0.063 0.148 0.807 P
0.148 0.063 0.307 P
0.221 0.260 0.527 P
0.260 0.221 0.027 P
0.402 0.480 0.636 P
0.480 0.402 0.136 P
0.520 0.598 0.864 P
0.598 0.520 0.364 P
0.740 0.779 0.973 P
0.779 0.740 0.473 P
0.852 0.937 0.693 P
0.937 0.852 0.193 P
0.013 0.819 0.809 O
0.038 0.868 0.101 O
0.064 0.663 0.256 O
0.084 0.420 0.635 O
0.100 0.392 0.115 O
0.127 0.207 0.429 O
0.132 0.962 0.399 O
0.181 0.987 0.691 O
0.207 0.127 0.929 O
0.263 0.322 0.406 O
0.274 0.667 0.573 O
0.308 0.454 0.722 O
0.319 0.514 0.014 O
0.322 0.263 0.906 O
0.333 0.726 0.927 O
0.337 0.936 0.244 O
0.392 0.100 0.615 O
0.420 0.084 0.135 O
0.443 0.557 0.250 O
0.454 0.308 0.222 O
0.486 0.681 0.486 O
0.514 0.319 0.514 O
0.546 0.692 0.778 O
0.557 0.443 0.750 O
0.580 0.916 0.865 O
0.608 0.900 0.385 O
0.663 0.064 0.756 O
0.667 0.274 0.073 O
0.678 0.737 0.094 O
0.681 0.486 0.986 O
0.692 0.546 0.278 O
0.726 0.333 0.427 O
0.737 0.678 0.594 O
0.793 0.873 0.071 O
0.819 0.013 0.309 O
0.868 0.038 0.601 O
0.873 0.793 0.571 O
0.900 0.608 0.885 O
0.916 0.580 0.365 O
0.936 0.337 0.744 O
0.962 0.132 0.899 O
0.987 0.181 0.191 O
```

Computed properties:
The space group is C2/c. The formation energy comes out at -2.755 eV per atom. Its size of the total moment is 0.00 μB/atom. Its raw total energy is -7.13 eV/atom. Its excess energy over the best structure of this formula in the dataset is 6.3 kJ/mol of atoms.

Below is RbBePO4 after structural relaxation, with properties calculated at the PBE level.

POSCAR file:
```
RbBePO4
1.0
8.650 0.000 0.000
0.000 8.739 0.000
0.000 0.000 5.062
Rb Be P O
4 4 4 16
direct
0.001 0.208 0.000 Rb
0.499 0.708 0.500 Rb
0.501 0.292 0.000 Rb
0.999 0.792 0.500 Rb
0.178 0.407 0.496 Be
0.322 0.907 0.996 Be
0.678 0.093 0.496 Be
0.822 0.593 0.996 Be
0.186 0.580 0.995 P
0.314 0.080 0.495 P
0.686 0.920 0.995 P
0.814 0.420 0.495 P
0.010 0.598 0.991 O
0.239 0.235 0.424 O
0.239 0.459 0.789 O
0.243 0.528 0.272 O
0.257 0.028 0.772 O
0.261 0.735 0.924 O
0.261 0.959 0.289 O
0.490 0.098 0.491 O
0.510 0.902 0.991 O
0.739 0.041 0.789 O
0.739 0.265 0.424 O
0.743 0.972 0.272 O
0.757 0.472 0.772 O
0.761 0.541 0.289 O
0.761 0.765 0.924 O
0.990 0.402 0.491 O
```

Computed properties:
The space group is Pna2_1. The formation energy comes out at -2.882 eV per atom. Its size of the total moment is 0.00 μB/atom. Its raw total energy is -6.76 eV/atom.